No. 1
VASP calculation (PBE-GGA) on an optimized crystal structure of Ca3Cu3As4O16.

Cell: 9.2721 5.1460 16.9195 Å, 90.00 116.69 90.00°
Atoms (fractional coordinates):
Ca: 0.0000 0.0000 0.0000
Ca: 0.0000 0.5000 0.5000
Ca: 0.3032 0.0318 0.2672
Ca: 0.3032 0.4682 0.7672
Ca: 0.6968 0.5318 0.2328
Ca: 0.6968 0.9682 0.7328
Cu: 0.2095 0.5265 0.3811
Cu: 0.2095 0.9735 0.8811
Cu: 0.5000 0.0000 0.5000
Cu: 0.5000 0.5000 0.0000
Cu: 0.7905 0.0265 0.1189
Cu: 0.7905 0.4735 0.6189
As: 0.0396 0.5077 0.1597
As: 0.0396 0.9923 0.6597
As: 0.4360 0.5069 0.5936
As: 0.4360 0.9931 0.0936
As: 0.5640 0.0069 0.9064
As: 0.5640 0.4931 0.4064
As: 0.9604 0.0077 0.3403
As: 0.9604 0.4923 0.8403
O: 0.0387 0.6612 0.6436
O: 0.0387 0.8388 0.1436
O: 0.1065 0.1619 0.5971
O: 0.1065 0.3381 0.0971
O: 0.1457 0.5941 0.8498
O: 0.1457 0.9059 0.3498
O: 0.1911 0.0559 0.7667
O: 0.1911 0.4441 0.2667
O: 0.2519 0.5648 0.5043
O: 0.2519 0.9352 0.0043
O: 0.4193 0.1970 0.9225
O: 0.4193 0.3030 0.4225
O: 0.4392 0.6126 0.6887
O: 0.4392 0.8874 0.1887
O: 0.4988 0.6871 0.8986
O: 0.4988 0.8129 0.3986
O: 0.5012 0.1871 0.6014
O: 0.5012 0.3129 0.1014
O: 0.5608 0.1126 0.8113
O: 0.5608 0.3874 0.3113
O: 0.5807 0.6970 0.5775
O: 0.5807 0.8030 0.0775
O: 0.7481 0.0648 0.9957
O: 0.7481 0.4352 0.4957
O: 0.8089 0.5559 0.7333
O: 0.8089 0.9441 0.2333
O: 0.8543 0.0941 0.6502
O: 0.8543 0.4059 0.1502
O: 0.8935 0.6619 0.9029
O: 0.8935 0.8381 0.4029
O: 0.9613 0.1612 0.8564
O: 0.9613 0.3388 0.3564

* SG: P2_1/c


No. 2
VASP calculation (PBE-GGA) on an optimized crystal structure of CaAs3F15.

Cell: 10.3174 10.6844 22.1113 Å, 90.02 90.00 90.00°
Atoms (fractional coordinates):
Ca: 0.0000 0.0000 0.0000
Ca: 0.9998 0.0012 0.4985
Ca: 0.0000 0.5003 0.6194
Ca: 0.0000 0.5043 0.1192
Ca: 0.5000 0.2609 0.7491
Ca: 0.5001 0.2685 0.2495
Ca: 0.5001 0.7590 0.3720
Ca: 0.4999 0.7615 0.8690
As: 0.0000 0.8766 0.1796
As: 0.2432 0.0643 0.8547
As: 0.2431 0.5660 0.2632
As: 0.2436 0.5644 0.7629
As: 0.2446 0.0641 0.3543
As: 0.2564 0.6969 0.5130
As: 0.2566 0.1974 0.1053
As: 0.2570 0.1971 0.6046
As: 0.2576 0.6970 0.0128
As: 0.4801 0.3824 0.4327
As: 0.4803 0.3830 0.9323
As: 0.4804 0.8827 0.6854
As: 0.5002 0.8780 0.1791
As: 0.7433 0.1976 0.1050
As: 0.7433 0.1977 0.6046
As: 0.7426 0.6973 0.0126
As: 0.7440 0.6975 0.5131
As: 0.7557 0.0644 0.3541
As: 0.7572 0.0649 0.8548
As: 0.7567 0.5650 0.7629
As: 0.7568 0.5663 0.2629
As: 0.9801 0.3793 0.4352
As: 0.9803 0.3791 0.9355
As: 0.9802 0.8792 0.6823
F: 0.9998 0.7109 0.1602
F: 0.9999 0.9316 0.1014
F: 0.0075 0.2192 0.4560
F: 0.0075 0.7192 0.6612
F: 0.0075 0.2190 0.9565
F: 0.0090 0.4308 0.0119
F: 0.0092 0.4308 0.5117
F: 0.0093 0.9307 0.6058
F: 0.1413 0.4959 0.7058
F: 0.1412 0.9960 0.9116
F: 0.1434 0.4965 0.2060
F: 0.1426 0.9957 0.4114
F: 0.1459 0.6976 0.2702
F: 0.1481 0.1988 0.8495
F: 0.1481 0.6987 0.7678
F: 0.1494 0.1987 0.3493
F: 0.1511 0.1324 0.5478
F: 0.1509 0.6322 0.5696
F: 0.1525 0.1325 0.0483
F: 0.1528 0.3321 0.6089
F: 0.1526 0.6329 0.0695
F: 0.1526 0.8320 0.5086
F: 0.1543 0.4892 0.8188
F: 0.1543 0.9892 0.7986
F: 0.1548 0.3341 0.1085
F: 0.1547 0.8320 0.0085
F: 0.1564 0.9888 0.2984
F: 0.1566 0.4878 0.3193
F: 0.1629 0.1341 0.1630
F: 0.1640 0.1291 0.6620
F: 0.1642 0.6290 0.4554
F: 0.1648 0.6290 0.9554
F: 0.1858 0.8715 0.1742
F: 0.3123 0.3920 0.4223
F: 0.3123 0.3921 0.9222
F: 0.3123 0.8921 0.6952
F: 0.3383 0.6291 0.7050
F: 0.3380 0.6338 0.2059
F: 0.3385 0.1292 0.9124
F: 0.3397 0.1287 0.4120
F: 0.3444 0.2744 0.5484
F: 0.3443 0.7743 0.5690
F: 0.3465 0.2723 0.0491
F: 0.3471 0.4286 0.7595
F: 0.3471 0.9286 0.8578
F: 0.3479 0.7740 0.0687
F: 0.3488 0.4313 0.2593
F: 0.3494 0.9282 0.3571
F: 0.3503 0.1293 0.7980
F: 0.3505 0.6294 0.8194
F: 0.3524 0.1292 0.2974
F: 0.3518 0.6309 0.3197
F: 0.3543 0.0632 0.1005
F: 0.3555 0.0649 0.5982
F: 0.3561 0.5646 0.0189
F: 0.3555 0.5650 0.5190
F: 0.3594 0.2651 0.6615
F: 0.3591 0.7655 0.4561
F: 0.3600 0.7650 0.9557
F: 0.3614 0.2648 0.1622
F: 0.4997 0.0341 0.2025
F: 0.5000 0.8276 0.2543
F: 0.5075 0.0428 0.7061
F: 0.5077 0.5424 0.4116
F: 0.5075 0.5427 0.9111
F: 0.5093 0.3314 0.8558
F: 0.5094 0.3315 0.3561
F: 0.5091 0.8314 0.7618
F: 0.6390 0.2647 0.1624
F: 0.6400 0.7660 0.9558
F: 0.6412 0.2661 0.6616
F: 0.6416 0.7665 0.4560
F: 0.6462 0.0628 0.1005
F: 0.6465 0.5636 0.0177
F: 0.6481 0.0633 0.5995
F: 0.6485 0.1286 0.2969
F: 0.6480 0.5634 0.5179
F: 0.6486 0.6318 0.3192
F: 0.6498 0.9292 0.3577
F: 0.6512 0.1295 0.7979
F: 0.6510 0.6297 0.8195
F: 0.6525 0.2720 0.0494
F: 0.6517 0.4317 0.2587
F: 0.6516 0.7727 0.0688
F: 0.6528 0.4300 0.7584
F: 0.6529 0.9299 0.8589
F: 0.6543 0.2728 0.5486
F: 0.6544 0.7727 0.5689
F: 0.6624 0.1321 0.4113
F: 0.6622 0.6342 0.2056
F: 0.6639 0.1330 0.9121
F: 0.6641 0.6330 0.7053
F: 0.8121 0.3699 0.4454
F: 0.8122 0.3698 0.9453
F: 0.8122 0.8699 0.6721
F: 0.8139 0.8714 0.1742
F: 0.8374 0.1344 0.1626
F: 0.8372 0.6324 0.9547
F: 0.8384 0.1329 0.6623
F: 0.8382 0.6329 0.4551
F: 0.8424 0.4876 0.3196
F: 0.8432 0.9875 0.2985
F: 0.8444 0.4877 0.8190
F: 0.8444 0.9876 0.7984
F: 0.8445 0.8331 0.0090
F: 0.8456 0.3345 0.1080
F: 0.8471 0.3334 0.6078
F: 0.8473 0.8333 0.5097
F: 0.8479 0.1333 0.0478
F: 0.8483 0.6323 0.0689
F: 0.8504 0.1327 0.5480
F: 0.8506 0.6324 0.5696
F: 0.8534 0.1976 0.3481
F: 0.8547 0.6972 0.2702
F: 0.8555 0.1972 0.8483
F: 0.8555 0.6972 0.7690
F: 0.8571 0.4964 0.2062
F: 0.8574 0.9967 0.4116
F: 0.8593 0.4969 0.7058
F: 0.8594 0.9970 0.9116

* SG: P1
* energy relative to the lowest polymorph listed for this composition: 0.0219 eV per atom


No. 3
VASP calculation (PBE-GGA) on an optimized crystal structure of CaAs2F12.

Cell: 5.3761 5.3761 7.7859 Å, 90.00 90.00 90.00°
Atoms (fractional coordinates):
Ca: 0.0000 0.0000 0.0000
As: 0.0000 0.5000 0.2582
As: 0.5000 0.0000 0.7418
F: 0.0000 0.5000 0.0228
F: 0.0000 0.5000 0.4794
F: 0.2271 0.2613 0.2405
F: 0.2271 0.7387 0.2405
F: 0.2613 0.2271 0.7595
F: 0.2613 0.7729 0.7595
F: 0.5000 0.0000 0.5206
F: 0.5000 0.0000 0.9772
F: 0.7387 0.2271 0.7595
F: 0.7387 0.7729 0.7595
F: 0.7729 0.2613 0.2405
F: 0.7729 0.7387 0.2405

* SG: P-4m2


No. 4
VASP calculation (PBE-GGA) on an optimized crystal structure of CaAs3F15.

Cell: 10.3029 10.6592 11.2051 Å, 90.00 90.00 90.00°
Atoms (fractional coordinates):
Ca: 0.0002 0.1283 0.1287
Ca: 0.9998 0.6283 0.3713
Ca: 0.5002 0.3717 0.8713
Ca: 0.4998 0.8717 0.6287
As: 0.0151 0.7531 0.0105
As: 0.2444 0.0670 0.8434
As: 0.2443 0.5670 0.6565
As: 0.2557 0.4330 0.1565
As: 0.2556 0.9330 0.3434
As: 0.4849 0.2469 0.5105
As: 0.5151 0.7469 0.9895
As: 0.7444 0.4330 0.1566
As: 0.7443 0.9330 0.3435
As: 0.7557 0.0670 0.8435
As: 0.7556 0.5670 0.6566
As: 0.9849 0.2531 0.4895
F: 0.0075 0.2022 0.3377
F: 0.0077 0.4154 0.4520
F: 0.1419 0.1337 0.9572
F: 0.1419 0.6341 0.5432
F: 0.1462 0.9342 0.8321
F: 0.1468 0.4340 0.6671
F: 0.1485 0.4974 0.2679
F: 0.1483 0.9972 0.2317
F: 0.1515 0.7968 0.3516
F: 0.1519 0.2969 0.1485
F: 0.1552 0.1437 0.7338
F: 0.1555 0.6437 0.7668
F: 0.1604 0.0010 0.4553
F: 0.1598 0.4997 0.0441
F: 0.1837 0.7602 0.0222
F: 0.3163 0.2398 0.5222
F: 0.3402 0.5003 0.5441
F: 0.3396 0.9990 0.9553
F: 0.3445 0.3563 0.2668
F: 0.3448 0.8563 0.2338
F: 0.3481 0.7031 0.6485
F: 0.3485 0.2032 0.8516
F: 0.3517 0.0028 0.7317
F: 0.3515 0.5026 0.7679
F: 0.3532 0.5660 0.1671
F: 0.3538 0.0658 0.3321
F: 0.3581 0.3659 0.0432
F: 0.3581 0.8663 0.4572
F: 0.4923 0.5846 0.9520
F: 0.4925 0.7978 0.8377
F: 0.5075 0.2978 0.6623
F: 0.5077 0.0846 0.5480
F: 0.6419 0.3663 0.0428
F: 0.6419 0.8659 0.4568
F: 0.6462 0.5658 0.1679
F: 0.6468 0.0660 0.3329
F: 0.6485 0.0026 0.7321
F: 0.6483 0.5028 0.7683
F: 0.6515 0.7032 0.6484
F: 0.6519 0.2031 0.8515
F: 0.6552 0.3563 0.2662
F: 0.6555 0.8563 0.2332
F: 0.6598 0.0003 0.9559
F: 0.6604 0.4990 0.5447
F: 0.6837 0.7398 0.9778
F: 0.8163 0.2602 0.4778
F: 0.8402 0.9997 0.4559
F: 0.8396 0.5010 0.0447
F: 0.8445 0.1437 0.7332
F: 0.8448 0.6437 0.7662
F: 0.8481 0.7969 0.3515
F: 0.8485 0.2968 0.1484
F: 0.8517 0.4972 0.2683
F: 0.8515 0.9974 0.2321
F: 0.8532 0.9340 0.8329
F: 0.8538 0.4342 0.6679
F: 0.8581 0.1341 0.9568
F: 0.8581 0.6337 0.5428
F: 0.9923 0.9154 0.0480
F: 0.9925 0.7022 0.1623

* SG: P2_12_12_1
* energy relative to the lowest polymorph listed for this composition: 0.0000 eV per atom


No. 5
VASP calculation (PBE-GGA) on an optimized crystal structure of CaAs2H6F18.

Cell: 9.8105 15.1308 9.7046 Å, 90.00 108.49 90.00°
Atoms (fractional coordinates):
Ca: 0.1905 0.0078 0.2974
Ca: 0.1905 0.4922 0.7974
Ca: 0.8095 0.5078 0.2026
Ca: 0.8095 0.9922 0.7026
As: 0.1125 0.1498 0.6231
As: 0.1125 0.3502 0.1231
As: 0.3999 0.6777 0.4161
As: 0.3999 0.8223 0.9161
As: 0.6001 0.1777 0.0839
As: 0.6001 0.3223 0.5839
As: 0.8875 0.6498 0.8769
As: 0.8875 0.8502 0.3769
H: 0.0439 0.6599 0.6630
H: 0.0439 0.8401 0.1630
H: 0.1248 0.6006 0.3096
H: 0.1248 0.8994 0.8096
H: 0.1546 0.0122 0.9728
H: 0.1546 0.4878 0.4728
H: 0.4055 0.1471 0.2942
H: 0.4055 0.3529 0.7942
H: 0.4070 0.5197 0.1090
H: 0.4070 0.9803 0.6090
H: 0.4259 0.5529 0.6620
H: 0.4259 0.9471 0.1620
H: 0.5741 0.0529 0.8380
H: 0.5741 0.4471 0.3379
H: 0.5930 0.0197 0.3910
H: 0.5930 0.4803 0.8910
H: 0.5945 0.6471 0.2058
H: 0.5945 0.8529 0.7058
H: 0.8454 0.5122 0.5272
H: 0.8454 0.9878 0.0272
H: 0.8752 0.1006 0.1904
H: 0.8752 0.3994 0.6904
H: 0.9561 0.1599 0.8370
H: 0.9561 0.3401 0.3370
F: 0.0053 0.7308 0.9749
F: 0.0053 0.7692 0.4749
F: 0.0418 0.5802 0.8899
F: 0.0418 0.9198 0.3899
F: 0.0578 0.5606 0.3401
F: 0.0578 0.9394 0.8401
F: 0.0951 0.1933 0.7890
F: 0.0951 0.3067 0.2890
F: 0.1138 0.0998 0.4542
F: 0.1138 0.4002 0.9542
F: 0.1177 0.6204 0.6522
F: 0.1177 0.8796 0.1522
F: 0.1833 0.0503 0.0565
F: 0.1833 0.4497 0.5565
F: 0.2228 0.0637 0.7193
F: 0.2228 0.4363 0.2193
F: 0.2307 0.6524 0.2725
F: 0.2307 0.8476 0.7725
F: 0.2614 0.2142 0.6310
F: 0.2614 0.2858 0.1310
F: 0.2991 0.7236 0.5168
F: 0.2991 0.7764 0.0168
F: 0.3431 0.1312 0.3495
F: 0.3431 0.3688 0.8495
F: 0.3497 0.5460 0.0203
F: 0.3497 0.9540 0.5203
F: 0.3812 0.5685 0.4894
F: 0.3812 0.9315 0.9894
F: 0.4144 0.7217 0.8357
F: 0.4144 0.7783 0.3357
F: 0.4297 0.5388 0.7614
F: 0.4297 0.9612 0.2614
F: 0.4376 0.1880 0.9449
F: 0.4376 0.3120 0.4449
F: 0.4877 0.6242 0.3012
F: 0.4877 0.8758 0.8012
F: 0.5123 0.1242 0.1988
F: 0.5123 0.3758 0.6988
F: 0.5624 0.6881 0.5551
F: 0.5624 0.8119 0.0551
F: 0.5703 0.0388 0.7386
F: 0.5703 0.4612 0.2386
F: 0.5856 0.2217 0.6643
F: 0.5856 0.2783 0.1643
F: 0.6188 0.0685 0.0106
F: 0.6188 0.4315 0.5105
F: 0.6503 0.0460 0.4797
F: 0.6503 0.4540 0.9797
F: 0.6569 0.6312 0.1505
F: 0.6569 0.8688 0.6505
F: 0.7009 0.2236 0.9832
F: 0.7009 0.2764 0.4832
F: 0.7386 0.7142 0.8690
F: 0.7386 0.7858 0.3690
F: 0.7693 0.1524 0.2275
F: 0.7693 0.3476 0.7275
F: 0.7772 0.5637 0.7807
F: 0.7772 0.9363 0.2807
F: 0.8167 0.5503 0.4435
F: 0.8167 0.9497 0.9435
F: 0.8823 0.1204 0.8478
F: 0.8823 0.3796 0.3478
F: 0.8862 0.5998 0.0458
F: 0.8862 0.9002 0.5458
F: 0.9049 0.6933 0.7110
F: 0.9049 0.8067 0.2110
F: 0.9422 0.0606 0.1599
F: 0.9422 0.4394 0.6599
F: 0.9582 0.0802 0.6101
F: 0.9582 0.4198 0.1101
F: 0.9947 0.2308 0.5251
F: 0.9947 0.2692 0.0251

* SG: P2_1/c


Energy of formation from the pure elements for every record listed, in sequence, given in eV/atom: -2.029 -2.733 -2.781 -2.755 -2.348.